Here is a geometry-optimized Lu3Mg2MoS8 structure from the Materials Project database. Energies are from PBE.

abc: 7.627 7.627 7.627
angles: 60.88 60.88 60.88
Positions (direct):
Lu 0.000 0.500 0.500
Lu 0.500 0.000 0.500
Lu 0.500 0.500 0.000
Mg 0.125 0.125 0.125
Mg 0.875 0.875 0.875
Mo 0.500 0.500 0.500
S 0.256 0.256 0.256
S 0.264 0.264 0.729
S 0.264 0.729 0.264
S 0.271 0.736 0.736
S 0.729 0.264 0.264
S 0.736 0.271 0.736
S 0.736 0.736 0.271
S 0.744 0.744 0.744

Calculated values
Energy   -82.6 eV for the cell shown


Here is a geometry-optimized Lu2MgNb2O8 structure from the Materials Project database. Energies are from PBE.

abc: 5.157 6.070 5.336
angles: 90.00 92.71 90.00
Positions (direct):
Lu 0.000 0.000 0.000
Lu 0.000 0.284 0.500
Mg 0.000 0.529 0.000
Nb 0.500 0.507 0.000
Nb 0.500 0.787 0.500
O 0.221 0.285 0.856
O 0.243 0.000 0.353
O 0.255 0.748 0.836
O 0.264 0.517 0.316
O 0.736 0.517 0.684
O 0.745 0.748 0.164
O 0.757 0.000 0.647
O 0.779 0.285 0.144

Calculated values
Energy   -106.1 eV for the cell shown